[1]
# Rb3Na3Sc2Mo6O24

An optimized crystal structure of Rb3Na3Sc2Mo6O24 (PBE with a Hubbard U, the Materials Project database).

Unit cell a=11.0019 b=12.7095 c=18.9880 alpha=90.04 beta=90.00 gamma=90.00
Fractional coordinates of all 152 atoms:
O1 0.9003 0.5483 0.9467
O2 0.4780 0.8373 0.4914
O3 0.1166 0.4978 0.2041
Mo1 0.7127 0.8018 0.7098
O4 0.5220 0.1627 0.5086
O5 0.9780 0.1627 0.0086
Rb1 0.2851 0.3406 0.9652
O6 0.7484 0.1513 0.9389
O7 0.8750 0.1661 0.7920
Mo2 0.5852 0.1432 0.9108
Mo3 0.0467 0.5333 0.1210
O8 0.1164 0.4862 0.8677
O9 0.2246 0.6661 0.7865
O10 0.0826 0.3429 0.5972
O11 0.5997 0.5483 0.4467
O12 0.5826 0.6571 0.9028
Mo4 0.2826 0.8015 0.7853
O13 0.4485 0.0026 0.6158
Sc1 0.2499 0.4990 0.2843
O14 0.3668 0.8176 0.8638
O15 0.2754 0.6661 0.2865
O16 0.6170 0.8197 0.6315
Mo5 0.2174 0.8015 0.2853
O17 0.0997 0.4517 0.0533
Rb2 0.7439 0.0001 0.0667
Mo6 0.7826 0.1985 0.7147
Rb3 0.7241 0.3420 0.5374
O18 0.8830 0.8197 0.1315
O19 0.0220 0.8373 0.9914
O20 0.4837 0.1659 0.9822
Mo7 0.9148 0.1432 0.4108
Mo8 0.2873 0.1982 0.2902
O21 0.6166 0.5022 0.2959
O22 0.0163 0.1659 0.4822
Mo9 0.9536 0.5279 0.3785
Sc2 0.2501 0.4990 0.7843
Mo10 0.4533 0.5333 0.6210
Na1 0.5016 0.0077 0.7527
Rb4 0.2561 0.9999 0.9333
O23 0.8834 0.5022 0.7959
O24 0.3830 0.1803 0.3685
Rb5 0.7149 0.6594 0.0348
Mo11 0.5464 0.5279 0.8785
Rb6 0.2439 0.9999 0.4333
O25 0.2277 0.1497 0.0543
Mo12 0.0464 0.4721 0.6215
O26 0.3341 0.1076 0.7957
Mo13 0.7174 0.1985 0.2147
O27 0.6619 0.1081 0.7063
O28 0.0551 0.7629 0.6554
Rb7 0.7561 0.0001 0.5667
Rb8 0.7851 0.6594 0.5348
O29 0.7723 0.8503 0.9457
Mo14 0.4148 0.8568 0.0892
O30 0.6011 0.4469 0.9468
Mo15 0.0852 0.8568 0.5892
O31 0.7277 0.8503 0.4457
O32 0.3989 0.5531 0.0532
O33 0.6250 0.1661 0.2920
O34 0.5808 0.3320 0.4023
Mo16 0.4536 0.4721 0.1215
O35 0.8803 0.4868 0.6335
Na2 0.9984 0.0077 0.2527
O36 0.6659 0.8924 0.2043
O37 0.1170 0.1803 0.8685
O38 0.6164 0.5138 0.6323
Sc3 0.4252 0.8383 0.6008
O39 0.6256 0.8347 0.7837
O40 0.1250 0.8339 0.2080
Mo17 0.5767 0.8619 0.4155
O41 0.8744 0.8347 0.2837
O42 0.2274 0.3341 0.2873
O43 0.8823 0.4958 0.2939
O44 0.4192 0.6680 0.5977
O45 0.7246 0.3339 0.7135
Mo18 0.7873 0.8018 0.2098
Rb9 0.7759 0.3420 0.0374
Na3 0.9996 0.6710 0.7500
O46 0.6177 0.4958 0.7939
O47 0.2516 0.8487 0.0611
Mo19 0.5467 0.4667 0.3790
O48 0.8668 0.1824 0.6362
O49 0.3834 0.4978 0.7041
O50 0.8381 0.1081 0.2063
Mo20 0.9233 0.8619 0.9155
Na4 0.5710 0.8376 0.9003
O51 0.8341 0.8924 0.7043
O52 0.5551 0.2371 0.8446
O53 0.4475 0.2319 0.6514
Na5 0.9290 0.8376 0.4003
O54 0.0512 0.9842 0.6223
O55 0.9174 0.6571 0.4028
O56 0.2726 0.3341 0.7873
O57 0.9449 0.2371 0.3446
O58 0.9485 0.9974 0.8842
O59 0.0515 0.0026 0.1158
O60 0.8836 0.5138 0.1323
Sc4 0.5748 0.1617 0.3992
Na6 0.4984 0.9923 0.2473
Rb10 0.2759 0.6580 0.4626
Sc5 0.7499 0.5010 0.2157
O61 0.1177 0.5042 0.7061
O62 0.5525 0.7681 0.3486
Rb11 0.2241 0.6580 0.9626
O63 0.1619 0.8919 0.7937
O64 0.4174 0.3429 0.0972
O65 0.1256 0.1653 0.7163
O66 0.1332 0.8176 0.3638
O67 0.6332 0.1824 0.1362
O68 0.8989 0.4469 0.4468
O69 0.1197 0.5132 0.3665
O70 0.3744 0.1653 0.2163
O71 0.4003 0.4517 0.5533
Mo21 0.0767 0.1381 0.0845
O72 0.7726 0.6659 0.7127
O73 0.0525 0.2319 0.1514
O74 0.3836 0.4862 0.3677
O75 0.7516 0.1513 0.4389
O76 0.9475 0.7681 0.8486
O77 0.9837 0.8341 0.5178
Sc6 0.7501 0.5010 0.7157
Mo22 0.2127 0.1982 0.7902
Na7 0.5004 0.6710 0.2500
Sc7 0.0748 0.8383 0.1008
O78 0.3803 0.5132 0.8665
O79 0.3381 0.8919 0.2937
O80 0.5163 0.8341 0.0178
O81 0.0808 0.6680 0.0977
Mo23 0.9533 0.4667 0.8790
O82 0.4488 0.9842 0.1223
Mo24 0.4233 0.1381 0.5845
O83 0.1011 0.5531 0.5532
O84 0.6197 0.4868 0.1335
O85 0.2723 0.1497 0.5543
O86 0.9488 0.0158 0.3777
Na8 0.0004 0.3290 0.2500
Rb12 0.2149 0.3406 0.4652
Na9 0.0710 0.1624 0.5997
Na10 0.4290 0.1624 0.0997
O87 0.5512 0.0158 0.8777
O88 0.5515 0.9974 0.3842
Na11 0.4996 0.3290 0.7500
O89 0.2484 0.8487 0.5611
O90 0.7754 0.3339 0.2135
O91 0.9192 0.3320 0.9023
Na12 0.0016 0.9923 0.7473
O92 0.3750 0.8339 0.7080
O93 0.7274 0.6659 0.2127
Sc8 0.9252 0.1617 0.8992
O94 0.4449 0.7629 0.1554
O95 0.3823 0.5042 0.2061
O96 0.1659 0.1076 0.2957



[2]
# VP2H13CN3O11

An optimized crystal structure of VP2H13CN3O11 (PBE with a Hubbard U, the Materials Project database).

Unit cell a=9.4046 b=9.4046 c=13.6893 alpha=86.00 beta=86.00 gamma=80.75
Fractional coordinates of all 124 atoms:
H1 0.1773 0.2037 0.8997
O1 0.6866 0.8548 0.4237
H2 0.0642 0.3157 0.5096
O2 0.3477 0.7948 0.8613
O3 0.6797 0.5552 0.4604
H3 0.2037 0.1773 0.3997
V1 0.4474 0.2635 0.4953
P1 0.6580 0.0066 0.3747
O4 0.2742 0.2323 0.9032
C1 0.9376 0.3461 0.6378
H4 0.2123 0.3242 0.3394
O5 0.5219 0.3958 0.3841
O6 0.4252 0.3508 0.2198
P2 0.4664 0.6618 0.8739
O7 0.0785 0.7942 0.8973
H5 0.0414 0.8362 0.0426
H6 0.7082 0.9743 0.7295
O8 0.5748 0.6492 0.7802
O9 0.6042 0.4781 0.1159
H7 0.5814 0.2790 0.8675
O10 0.7948 0.3477 0.3613
N1 0.6052 0.1947 0.8236
C2 0.3461 0.9376 0.1378
N2 0.8053 0.3948 0.6764
H8 0.8107 0.2145 0.1184
H9 0.1184 0.6287 0.5062
H10 0.6374 0.5313 0.2156
H11 0.2130 0.5977 0.2498
H12 0.3157 0.0642 0.0096
V2 0.7365 0.5526 0.0047
H13 0.3511 0.9237 0.7851
H14 0.0411 0.0117 0.3848
N3 0.3375 0.9616 0.0407
O11 0.7942 0.0785 0.3973
P3 0.3420 0.9934 0.6253
O12 0.8995 0.4823 0.0936
H15 0.9586 0.1638 0.9574
O13 0.7511 0.4225 0.9293
O14 0.8548 0.6866 0.9237
O15 0.8566 0.9893 0.6061
H16 0.8539 0.7314 0.3327
H17 0.6843 0.9358 0.9904
H18 0.7314 0.8539 0.8327
P4 0.0066 0.6580 0.8747
H19 0.2790 0.5814 0.3675
H20 0.3713 0.8816 0.9938
P5 0.3382 0.5336 0.6261
V3 0.5526 0.7365 0.5047
P6 0.5336 0.3382 0.1261
H21 0.7210 0.4186 0.6325
O16 0.6523 0.2052 0.1387
O17 0.4225 0.7511 0.4293
N4 0.9616 0.3375 0.5407
V4 0.2635 0.4474 0.9953
O18 0.3508 0.4252 0.7198
O19 0.1434 0.0107 0.3939
N5 0.9539 0.6929 0.3032
O20 0.9215 0.2058 0.1027
N6 0.3071 0.0461 0.1968
H22 0.9743 0.7082 0.2295
H23 0.3626 0.4687 0.7844
O21 0.3203 0.4448 0.5396
O22 0.9846 0.6631 0.7610
O23 0.4823 0.8995 0.5936
N7 0.0384 0.6625 0.4593
H24 0.9358 0.6843 0.4904
N8 0.0461 0.3071 0.6968
C3 0.0624 0.6539 0.3622
H25 0.5977 0.2130 0.7498
O24 0.7677 0.7258 0.5968
H26 0.8816 0.3713 0.4938
H27 0.9237 0.3511 0.2851
H28 0.7855 0.1893 0.3816
H29 0.4687 0.3626 0.2844
N9 0.6625 0.0384 0.9593
H30 0.7963 0.8227 0.6003
O25 0.2323 0.2742 0.4032
O26 0.2058 0.9215 0.6027
O27 0.2489 0.5775 0.0707
H31 0.1893 0.7855 0.8816
O28 0.6492 0.5748 0.2802
N10 0.1947 0.6052 0.3236
H32 0.0763 0.6489 0.7149
H33 0.1638 0.9586 0.4574
O29 0.9893 0.8566 0.1061
O30 0.1005 0.5177 0.9064
C4 0.6539 0.0624 0.8622
O31 0.0107 0.1434 0.8939
N11 0.3948 0.8053 0.1764
H34 0.1461 0.2686 0.6673
O32 0.4448 0.3203 0.0396
O33 0.6631 0.9846 0.2610
H35 0.2145 0.8107 0.6184
O34 0.1452 0.3134 0.0763
H36 0.4023 0.7870 0.2502
H37 0.7877 0.6758 0.6606
H38 0.6287 0.1184 0.0062
N12 0.6929 0.9539 0.8032
H39 0.6489 0.0763 0.2149
O35 0.3958 0.5219 0.8841
O36 0.0154 0.3369 0.2390
O37 0.3134 0.1452 0.5763
H40 0.9883 0.9589 0.1152
O38 0.5775 0.2489 0.5707
O39 0.2052 0.6523 0.6387
O40 0.7258 0.7677 0.0968
H41 0.6758 0.7877 0.1606
H42 0.4186 0.7210 0.1325
H43 0.0257 0.2918 0.7705
H44 0.8362 0.0414 0.5426
O41 0.5177 0.1005 0.4064
H45 0.2686 0.1461 0.1673
H46 0.2918 0.0257 0.2705
P7 0.6618 0.4664 0.3739
O42 0.4781 0.6042 0.6159
O43 0.5552 0.6797 0.9604
H47 0.7870 0.4023 0.7502
H48 0.3242 0.2123 0.8394
H49 0.0117 0.0411 0.8848
H50 0.8227 0.7963 0.1003
H51 0.5313 0.6374 0.7156
O44 0.3369 0.0154 0.7390
P8 0.9934 0.3420 0.1253
H52 0.9589 0.9883 0.6152



[3]
# Li2MnF4

An optimized crystal structure of Li2MnF4 (PBE with a Hubbard U, the Materials Project database).

Unit cell a=9.7408 b=9.7408 c=9.7408 alpha=101.04 beta=101.04 gamma=128.10
Fractional coordinates of all 56 atoms:
Mn1 0.3497 0.2139 0.8642
Li1 0.1250 0.5179 0.8929
F1 0.8831 0.2674 0.8722
F2 0.6127 0.4940 0.8812
F3 0.2609 0.1452 0.6278
F4 0.2685 0.3873 0.8812
Li2 0.7679 0.8750 0.3929
Mn2 0.9003 0.2645 0.3642
Li3 0.6250 0.2321 0.1071
F5 0.3952 0.0109 0.1278
Li4 0.1194 0.6194 0.2387
Mn3 0.9003 0.5361 0.6358
F6 0.8548 0.4826 0.1157
F7 0.4952 0.8620 0.6332
Li5 0.3806 0.6194 0.5000
F8 0.9891 0.6048 0.8722
Mn4 0.7861 0.6503 0.1358
Li6 0.6250 0.5179 0.3929
Li7 0.4821 0.8750 0.1071
F9 0.1120 0.2452 0.1332
Li8 0.1194 0.8806 0.5000
F10 0.5174 0.6331 0.3722
Mn5 0.7355 0.0997 0.6358
F11 0.5174 0.1452 0.8843
F12 0.1380 0.5048 0.3668
Li9 0.4821 0.3750 0.6071
Li10 0.1250 0.2321 0.6071
Mn6 0.4639 0.0997 0.3642
F13 0.1120 0.9788 0.8668
F14 0.3669 0.7391 0.8843
Li11 0.1306 0.8694 0.0000
Li12 0.8694 0.8694 0.7387
F15 0.6373 0.0185 0.3812
Li13 0.1306 0.1306 0.2613
F16 0.2609 0.6331 0.1157
F17 0.8548 0.7391 0.3722
Mn7 0.5145 0.6503 0.8642
F18 0.3669 0.4826 0.6278
F19 0.7326 0.1169 0.1278
F20 0.7326 0.6048 0.6157
F21 0.7548 0.8880 0.8668
Li14 0.3806 0.8806 0.7613
F22 0.9891 0.1169 0.3843
F23 0.0212 0.8880 0.1332
Li15 0.7679 0.3750 0.8929
F24 0.6373 0.2560 0.6188
F25 0.2288 0.8620 0.3668
F26 0.7440 0.3627 0.3812
F27 0.1380 0.7712 0.6332
Li16 0.8694 0.1306 0.0000
F28 0.6127 0.7315 0.1188
F29 0.9815 0.3627 0.6188
F30 0.8831 0.0109 0.6157
F31 0.5060 0.3873 0.1188
F32 0.3952 0.2674 0.3843
Mn8 0.3497 0.4855 0.1358



[4]
# Li3MnSi2O7

An optimized crystal structure of Li3MnSi2O7 (PBE with a Hubbard U, the Materials Project database).

Unit cell a=4.9945 b=8.9758 c=12.4848 alpha=90.00 beta=90.00 gamma=90.00
Fractional coordinates of all 52 atoms:
O1 0.0791 0.8674 0.3756
Si1 0.5042 0.8119 0.8684
Mn1 0.5000 0.5000 0.5000
Li1 0.5114 0.4708 0.7500
O2 0.4209 0.3674 0.1244
Li2 0.0200 0.3361 0.0934
O3 0.9209 0.1326 0.8756
Li3 0.0200 0.3361 0.4066
O4 0.5791 0.6326 0.8756
O5 0.5791 0.6326 0.6244
O6 0.3259 0.1060 0.0363
Li4 0.9886 0.9708 0.7500
O7 0.8124 0.1529 0.1253
Li5 0.9800 0.6639 0.9066
O8 0.8763 0.3717 0.7500
O9 0.3124 0.3471 0.8747
Si2 0.9958 0.3119 0.8684
Si3 0.9958 0.3119 0.6316
Li6 0.4800 0.8361 0.0934
Si4 0.4958 0.1881 0.1316
O10 0.3259 0.1060 0.4637
Mn2 0.0000 0.0000 0.0000
O11 0.3763 0.1283 0.2500
O12 0.4209 0.3674 0.3756
O13 0.1237 0.6283 0.2500
O14 0.8124 0.1529 0.3747
O15 0.6876 0.6529 0.3747
O16 0.0791 0.8674 0.1244
O17 0.8259 0.3940 0.9637
Mn3 0.5000 0.5000 0.0000
Li7 0.0114 0.0292 0.2500
Li8 0.4800 0.8361 0.4066
O18 0.3124 0.3471 0.6253
Li9 0.5200 0.1639 0.5934
O19 0.6237 0.8717 0.7500
Li10 0.5200 0.1639 0.9066
O20 0.6741 0.8940 0.9637
O21 0.1876 0.8471 0.6253
O22 0.1876 0.8471 0.8747
Mn4 0.0000 0.0000 0.5000
O23 0.1741 0.6060 0.0363
O24 0.6876 0.6529 0.1253
Si5 0.0042 0.6881 0.3684
Li11 0.9800 0.6639 0.5934
O25 0.8259 0.3940 0.5363
Si6 0.5042 0.8119 0.6316
O26 0.9209 0.1326 0.6244
Si7 0.4958 0.1881 0.3684
O27 0.6741 0.8940 0.5363
Si8 0.0042 0.6881 0.1316
Li12 0.4886 0.5292 0.2500
O28 0.1741 0.6060 0.4637



[5]
# Li4Ni3BiO8

An optimized crystal structure of Li4Ni3BiO8 (PBE with a Hubbard U, the Materials Project database).

Unit cell a=6.0587 b=6.0912 c=8.5449 alpha=90.00 beta=90.38 gamma=89.99
Fractional coordinates of all 32 atoms:
O1 0.4700 0.9821 0.7435
Ni1 0.2496 0.2496 0.7496
O2 0.7555 0.2526 0.0005
O3 0.7439 0.2471 0.5001
O4 0.2443 0.2526 0.9995
Li1 0.7479 0.2483 0.7502
Li2 0.5000 0.9988 0.0000
O5 0.4979 0.4987 0.7486
O6 0.0012 0.0010 0.7514
Bi1 0.4999 0.4975 0.5000
Li3 0.0000 0.5026 0.5001
O7 0.9703 0.5180 0.2443
Ni2 0.7503 0.7500 0.2499
Ni3 0.5001 0.9985 0.5001
O8 0.2455 0.7508 0.9870
Li4 0.2526 0.2477 0.2498
Li5 0.0000 0.0019 0.5000
O9 0.2550 0.7502 0.5125
Ni4 0.9999 0.5017 0.9999
Ni5 0.7510 0.2504 0.2504
O10 0.5021 0.4987 0.2514
Li6 0.2501 0.7505 0.2507
O11 0.7450 0.7501 0.4875
O12 0.9987 0.0009 0.2486
O13 0.7544 0.7508 0.0130
O14 0.0296 0.5180 0.7557
Ni6 0.2497 0.7499 0.7501
O15 0.5299 0.9822 0.2565
Li7 0.4999 0.4981 0.0000
Bi2 0.9999 0.0032 0.0000
O16 0.2561 0.2471 0.4999
Li8 0.7499 0.7504 0.7493



Summary of energy of formation in eV per formula unit
-90.557, -44.437, -21.343, -35.058, -25.822
(order as listed above)
Summary of corrected total energy (MP2020 scheme) in eV per atom
-7.74, -6.36, -6.00, -7.34, -5.89
(order as listed above)
Summary of electronic total energy in eV per atom
-6.796, -6.060, -5.495, -6.843, -5.072
(order as listed above)